This record from Materials Project describes Na2Ca2Si3O9 after structural relaxation. The functional is PBE.

Unit cell a=10.5988 b=10.5988 c=13.3074 alpha=89.72 beta=89.72 gamma=59.80
Closest atoms and distances in Å follow each position.
Positions (direct):
Na: 0.1636 0.3386 0.0023  5 O 2.41-2.68
Na: 0.5022 0.1670 0.6670  3 O 2.38-2.52
Na: 0.3451 0.4904 0.3371  5 O 2.44-2.68
Na: 0.8330 0.4978 0.3330  3 O 2.38-2.52
Na: 0.6614 0.8364 0.9977  5 O 2.41-2.68
Na: 0.5096 0.6549 0.6629  5 O 2.44-2.68
Na: 0.3138 0.9752 0.0595  3 O 2.28-2.47
Na: 0.7135 0.3127 0.7227  4 O 2.32-2.56
Na: 0.6873 0.2865 0.2773  4 O 2.32-2.56
Na: 0.0248 0.6862 0.9405  3 O 2.28-2.47
Na: 0.1547 0.3726 0.5106  6 O 2.37-2.62
Na: 0.6274 0.8453 0.4894  6 O 2.37-2.62
Ca: 0.3033 0.0002 0.3325  6 O 2.31-2.46
Ca: 0.7008 0.2992 0.0000  6 O 2.35-2.38
Ca: 0.9998 0.6967 0.6675  6 O 2.31-2.46
Ca: 0.8235 0.0000 0.8327  4 O 2.31-2.36
Ca: 0.1839 0.8161 0.5000  6 O 2.35-2.46
Ca: 0.0000 0.1765 0.1673  4 O 2.31-2.36
Ca: 0.9751 0.6981 0.4096  5 O 2.26-2.41
Ca: 0.3019 0.0249 0.5904  5 O 2.26-2.41
Ca: 0.4686 0.1513 0.1803  6 O 2.28-2.52
Ca: 0.3810 0.4690 0.8463  6 O 2.28-2.53
Ca: 0.8487 0.5314 0.8197  6 O 2.28-2.52
Ca: 0.5310 0.6190 0.1537  6 O 2.28-2.53
Si: 0.0444 0.1526 0.8894  4 O 1.62-1.69
Si: 0.8021 0.0431 0.5527  4 O 1.62-1.68
Si: 0.1499 0.8023 0.2226  4 O 1.62-1.69
Si: 0.9569 0.1979 0.4473  4 O 1.62-1.68
Si: 0.8474 0.9556 0.1106  4 O 1.62-1.69
Si: 0.1977 0.8501 0.7774  4 O 1.62-1.69
Si: 0.1765 0.3218 0.7703  4 O 1.60-1.68
Si: 0.4966 0.1738 0.4394  4 O 1.61-1.68
Si: 0.3248 0.5008 0.1032  4 O 1.60-1.68
Si: 0.8262 0.5034 0.5606  4 O 1.61-1.68
Si: 0.6782 0.8235 0.2297  4 O 1.60-1.68
Si: 0.4992 0.6752 0.8968  4 O 1.60-1.68
Si: 0.4747 0.1490 0.9055  4 O 1.60-1.67
Si: 0.3733 0.4763 0.5698  4 O 1.61-1.66
Si: 0.1457 0.3817 0.2381  4 O 1.60-1.68
Si: 0.5237 0.6267 0.4302  4 O 1.61-1.66
Si: 0.8510 0.5253 0.0945  4 O 1.60-1.67
Si: 0.6183 0.8543 0.7619  4 O 1.60-1.68
O: 0.0569 0.2861 0.8280  2 Si 1.68-1.69
O: 0.6558 0.0590 0.4931  2 Si 1.67-1.68
O: 0.2837 0.6573 0.1607  2 Si 1.68-1.69
O: 0.9410 0.3442 0.5069  2 Si 1.67-1.68
O: 0.7139 0.9431 0.1720  2 Si 1.68-1.69
O: 0.3427 0.7163 0.8393  2 Si 1.68-1.69
O: 0.5745 0.2247 0.8929  1 Si 1.62
O: 0.1989 0.5872 0.5561  1 Si 1.63
O: 0.2232 0.2051 0.2300  1 Si 1.63
O: 0.4128 0.8011 0.4439  1 Si 1.63
O: 0.7753 0.4255 0.1071  1 Si 1.62
O: 0.7949 0.7768 0.7700  1 Si 1.63
O: 0.2363 0.2407 0.6650  1 Si 1.60
O: 0.5135 0.2276 0.3292  1 Si 1.61
O: 0.2523 0.5181 0.9948  1 Si 1.60
O: 0.7724 0.4865 0.6708  1 Si 1.61
O: 0.7593 0.7637 0.3350  1 Si 1.60
O: 0.4819 0.7477 0.0052  1 Si 1.60
O: 0.3190 0.2677 0.8485  2 Si 1.67-1.68
O: 0.4148 0.3208 0.5140  2 Si 1.66-1.68
O: 0.2669 0.4138 0.1792  2 Si 1.67-1.68
O: 0.6792 0.5852 0.4860  2 Si 1.66-1.68
O: 0.7323 0.6810 0.1515  2 Si 1.67-1.68
O: 0.5862 0.7331 0.8208  2 Si 1.67-1.68
O: 0.1682 0.0015 0.8331  2 Si 1.65
O: 0.8336 0.1664 0.5000  2 Si 1.65
O: 0.9985 0.8318 0.1669  2 Si 1.65
O: 0.8804 0.1815 0.8720  1 Si 1.62
O: 0.9378 0.8777 0.5324  1 Si 1.64
O: 0.1825 0.9354 0.2075  1 Si 1.62
O: 0.1223 0.0622 0.4676  1 Si 1.64
O: 0.8185 0.1196 0.1280  1 Si 1.62
O: 0.0646 0.8175 0.7925  1 Si 1.62
O: 0.5564 0.9999 0.8356  2 Si 1.66
O: 0.4471 0.5529 0.5000  2 Si 1.66
O: 0.0001 0.4436 0.1644  2 Si 1.66
O: 0.4399 0.1111 0.0154  1 Si 1.60
O: 0.4442 0.4421 0.6807  1 Si 1.61
O: 0.1018 0.4638 0.3440  1 Si 1.60
O: 0.5579 0.5558 0.3193  1 Si 1.61
O: 0.8889 0.5601 0.9846  1 Si 1.60
O: 0.5362 0.8982 0.6560  1 Si 1.60
O: 0.0881 0.1592 0.0049  1 Si 1.62
O: 0.7568 0.0824 0.6698  1 Si 1.62
O: 0.1503 0.7505 0.3382  1 Si 1.63
O: 0.9176 0.2432 0.3302  1 Si 1.62
O: 0.8408 0.9119 0.9951  1 Si 1.62
O: 0.2495 0.8497 0.6618  1 Si 1.63
O: 0.0916 0.4990 0.7760  1 Si 1.63
O: 0.3995 0.0950 0.4507  1 Si 1.62
O: 0.5015 0.4087 0.1111  1 Si 1.62
O: 0.9050 0.6005 0.5493  1 Si 1.62
O: 0.5010 0.9084 0.2240  1 Si 1.63
O: 0.5913 0.4985 0.8889  1 Si 1.62

Properties
Space-group type ... C2 (5)
Crystal system ... monoclinic
Total energy after the MP2020 corrections ... -7.3766 eV per atom
M_tot ... 0.00 μB per cell
Energy above the most stable polymorph in this dataset ... 0 meV per atom
Formation energy ... -3.16 eV/atom
Uncorrected energy ... -6.990 eV per atom